No. 1
Entry from the Materials Project: a relaxed CuWO4 crystal (GGA+U). Values from VASP.

Calculated values
Symmetry: P2/c
Energy above the most stable polymorph in this dataset: 0.013 eV per atom
M_tot: 2.00 μB/cell
Energy: -6.631 eV/atom
Calculated formation energy: -162.8 kJ per mole of atoms

Structure (Quantum ESPRESSO input):
```
&SYSTEM
  ibrav = 0, nat = 12, ntyp = 3
/
ATOMIC_SPECIES
Cu 63.55 Cu.upf
W 183.84 W.upf
O 16.00 O.upf
CELL_PARAMETERS angstrom
4.7128 0.0000 0.0000
0.0000 5.5790 0.0000
-0.3260 0.0000 5.1556
ATOMIC_POSITIONS angstrom
Cu -0.0815 0.9140 1.2889
Cu -0.2445 4.6651 3.8667
W 2.1119 1.7720 3.8667
W 2.2749 3.8070 1.2889
O 0.8732 0.6039 4.5332
O 1.0362 4.9751 1.9554
O 1.1758 2.1978 2.1821
O 1.0128 3.3813 4.7600
O 3.3740 2.1978 0.3957
O 3.2110 3.3813 2.9735
O 3.3506 0.6039 3.2002
O 3.5136 4.9751 0.6224
```

---

No. 2
Entry from the Materials Project: a relaxed Ba2Y2MgFe4O10 crystal (GGA+U). Values from VASP.

Calculated values
Symmetry: Pmm2
Energy above the most stable polymorph in this dataset: 0.130 eV per atom
M_tot: 16.00 μB/cell
Energy: -6.851 eV/atom
Calculated formation energy: -225.1 kJ per mole of atoms

Structure (Quantum ESPRESSO input):
```
&SYSTEM
  ibrav = 0, nat = 19, ntyp = 5
/
ATOMIC_SPECIES
Ba 137.33 Ba.upf
Y 88.91 Y.upf
Mg 24.30 Mg.upf
Fe 55.84 Fe.upf
O 16.00 O.upf
CELL_PARAMETERS angstrom
3.8687 0.0000 0.0000
0.0000 8.6989 0.0000
0.0000 0.0000 8.2149
ATOMIC_POSITIONS angstrom
Ba 0.0000 1.7696 0.0000
Ba 0.0000 6.9293 0.0000
Y 0.0000 1.9312 4.4200
Y 0.0000 6.7677 4.4200
Mg 0.0000 4.3495 1.4155
Fe 1.9343 0.0000 2.6770
Fe 1.9343 0.0000 6.2036
Fe 1.9343 4.3495 3.4322
Fe 1.9343 4.3495 6.7158
O 0.0000 0.0000 3.1041
O 0.0000 0.0000 5.9088
O 0.0000 4.3495 3.7424
O 0.0000 4.3495 7.4952
O 1.9343 0.0000 0.2987
O 1.9343 2.0752 3.2502
O 1.9343 2.2538 6.1511
O 1.9343 4.3495 1.3534
O 1.9343 6.4451 6.1511
O 1.9343 6.6237 3.2502
```

---

No. 3
Entry from the Materials Project: a relaxed Li2V3CrO8 crystal (GGA+U). Values from VASP.

Calculated values
Symmetry: Cc
Energy above the most stable polymorph in this dataset: 0.025 eV per atom
M_tot: 14.00 μB/cell
Energy: -7.299 eV/atom
Calculated formation energy: -237.6 kJ per mole of atoms

Structure (Quantum ESPRESSO input):
```
&SYSTEM
  ibrav = 0, nat = 28, ntyp = 4
/
ATOMIC_SPECIES
Li 6.94 Li.upf
V 50.94 V.upf
Cr 52.00 Cr.upf
O 16.00 O.upf
CELL_PARAMETERS angstrom
2.9417 -5.1251 0.0000
2.9417 5.1251 0.0000
-0.1102 0.0000 9.6215
ATOMIC_POSITIONS angstrom
Li 2.8866 5.1124 4.8108
Li 2.8946 1.7122 3.8358
Li 2.8395 -1.7122 8.6466
Li 2.9417 -5.1124 0.0000
V 2.8783 3.3815 6.9096
V 1.4354 0.8495 6.9154
V 1.4905 -0.8495 2.1046
V 4.2959 0.8738 6.8554
V 4.3509 -0.8738 2.0447
V 2.9334 -3.3815 2.0988
Cr 2.8195 1.7287 9.5170
Cr 2.8746 -1.7287 4.7063
O 0.0071 0.0228 3.0326
O -0.0480 -0.0228 7.8434
O 1.5378 2.4641 8.1108
O 1.4406 0.8537 1.0424
O 2.9515 3.4594 1.0338
O 2.7614 1.7576 5.8044
O 1.3855 -0.8537 5.8531
O 4.1064 2.5120 8.0915
O 2.7933 0.2070 8.1096
O 2.8484 -0.2070 3.2988
O 1.5929 -2.4641 3.3000
O 2.8165 -1.7576 0.9937
O 4.4427 0.8750 1.0361
O 2.8964 -3.4594 5.8445
O 4.3876 -0.8750 5.8468
O 4.1615 -2.5120 3.2807
```

---

No. 4
Entry from the Materials Project: a relaxed V2CuP2O15 crystal (GGA+U). Values from VASP.

Calculated values
Symmetry: P-1
M_tot: 9.66 μB/cell
Energy: -6.462 eV/atom
Calculated formation energy: -133.8 kJ per mole of atoms

Structure (Quantum ESPRESSO input):
```
&SYSTEM
  ibrav = 0, nat = 40, ntyp = 4
/
ATOMIC_SPECIES
V 50.94 V.upf
Cu 63.55 Cu.upf
P 30.97 P.upf
O 16.00 O.upf
CELL_PARAMETERS angstrom
6.2777 0.0000 0.0000
-0.8522 7.5546 0.0000
-0.2077 -3.1401 12.1973
ATOMIC_POSITIONS angstrom
V 1.1237 2.7350 1.3742
V 1.0224 1.3539 7.4960
V 4.1954 3.0606 4.7013
V 4.0941 1.6795 10.8232
Cu -0.3489 4.6410 11.0694
Cu 5.5667 -0.2265 1.1279
P 1.0547 2.5513 4.5659
P 0.9732 1.0690 10.6807
P 4.2446 3.3455 1.5167
P 4.1631 1.8632 7.6315
O -0.1951 3.4527 4.7676
O -0.2540 1.9914 10.9051
O -0.4998 4.7726 9.3166
O 0.9303 0.4738 0.6608
O 0.9079 -0.1588 11.6188
O 1.0210 1.3651 5.5729
O 1.1023 1.9487 3.1381
O 1.0193 0.5234 9.2284
O 1.4430 -1.4818 7.0693
O 1.0830 4.2892 1.7801
O 1.0237 2.9070 7.8516
O 2.0722 -2.4002 10.3871
O 2.4431 -1.8961 7.6332
O 2.3045 3.4385 4.8048
O 2.2115 1.9664 10.9493
O 3.0063 2.4481 1.2481
O 2.9133 0.9760 7.3926
O 2.7747 6.3106 4.5642
O 3.1456 6.8147 1.8103
O 4.1941 1.5075 4.3457
O 4.1348 0.1253 10.4173
O 3.7748 5.8963 5.1280
O 4.1985 3.8911 2.9690
O 4.1155 2.4657 9.0592
O 4.1968 3.0493 6.6244
O 4.3099 4.5733 0.5786
O 4.2875 3.9407 11.5365
O 5.7176 -0.3581 2.8808
O 5.4718 2.4231 1.2922
O 5.4129 0.9618 7.4298
```

---

No. 5
Entry from the Materials Project: a relaxed Li3NiO3 crystal (GGA+U). Values from VASP.

Calculated values
Symmetry: Pnnm
M_tot: 4.00 μB/cell
Energy: -4.823 eV/atom
Calculated formation energy: -165.6 kJ per mole of atoms

Structure (Quantum ESPRESSO input):
```
&SYSTEM
  ibrav = 0, nat = 28, ntyp = 3
/
ATOMIC_SPECIES
Li 6.94 Li.upf
Ni 58.69 Ni.upf
O 16.00 O.upf
CELL_PARAMETERS angstrom
8.7962 0.0000 0.0000
0.0000 8.8313 0.0000
0.0000 0.0000 3.5977
ATOMIC_POSITIONS angstrom
Li 0.8963 1.2336 0.0000
Li 1.2347 7.9248 1.7988
Li 1.4800 2.9213 1.7988
Li 2.9181 7.3370 0.0000
Li 3.1634 3.5091 0.0000
Li 3.5018 5.6493 1.7988
Li 5.2944 3.1820 1.7988
Li 5.6328 5.3221 0.0000
Li 5.8781 1.4943 0.0000
Li 7.3162 5.9099 1.7988
Li 7.5615 0.9065 1.7988
Li 7.8999 7.5976 0.0000
Ni 0.9901 5.4181 0.0000
Ni 3.4080 1.0024 1.7988
Ni 5.3882 7.8288 1.7988
Ni 7.8061 3.4132 0.0000
O 0.8678 3.5001 0.0000
O 0.9867 7.2713 0.0000
O 1.5967 0.9814 1.7988
O 2.8014 5.3971 0.0000
O 3.4114 2.8556 1.7988
O 3.5303 7.9157 1.7988
O 5.2659 0.9156 1.7988
O 5.3848 5.9757 1.7988
O 5.9948 3.4342 0.0000
O 7.1995 7.8498 1.7988
O 7.8095 1.5600 0.0000
O 7.9284 5.3312 0.0000
```

---

No. 6
Entry from the Materials Project: a relaxed Eu2NbFeO6 crystal (GGA+U). Values from VASP.

Calculated values
Symmetry: Fm-3m
M_tot: 18.56 μB/cell
Energy: -9.132 eV/atom
Calculated formation energy: -279.1 kJ per mole of atoms

Structure (Quantum ESPRESSO input):
```
&SYSTEM
  ibrav = 0, nat = 10, ntyp = 4
/
ATOMIC_SPECIES
Eu 151.96 Eu.upf
Nb 92.91 Nb.upf
Fe 55.84 Fe.upf
O 16.00 O.upf
CELL_PARAMETERS angstrom
0.0000 4.0158 4.0158
4.0158 0.0000 4.0158
4.0158 4.0158 0.0000
ATOMIC_POSITIONS angstrom
Eu 2.0079 2.0079 2.0079
Eu 6.0237 6.0237 6.0237
Nb 0.0000 0.0000 0.0000
Fe 4.0158 4.0158 4.0158
O 4.0158 4.0158 2.0064
O 4.0158 2.0064 4.0158
O 6.0252 4.0158 4.0158
O 2.0064 4.0158 4.0158
O 4.0158 6.0252 4.0158
O 4.0158 4.0158 6.0252
```

---

No. 7
Entry from the Materials Project: a relaxed Li3Fe2OF5 crystal (GGA+U). Values from VASP.

Calculated values
Symmetry: C2
Energy above the most stable polymorph in this dataset: 0.013 eV per atom
M_tot: 16.00 μB/cell
Energy: -5.295 eV/atom
Calculated formation energy: -250.6 kJ per mole of atoms

Structure (Quantum ESPRESSO input):
```
&SYSTEM
  ibrav = 0, nat = 22, ntyp = 4
/
ATOMIC_SPECIES
Li 6.94 Li.upf
Fe 55.84 Fe.upf
O 16.00 O.upf
F 19.00 F.upf
CELL_PARAMETERS angstrom
3.0474 -4.2844 0.0000
3.0474 4.2844 0.0000
-2.9592 0.0000 8.9680
ATOMIC_POSITIONS angstrom
Li 3.0474 4.2830 0.0000
Li 1.5590 2.1308 1.3304
Li 0.0622 0.0000 5.8788
Li 1.5766 2.1308 7.6376
Li 3.0734 0.0000 3.0892
Li 1.5678 -2.1197 4.4840
Fe 0.0279 -0.0259 3.1162
Fe 1.5678 2.1179 4.4840
Fe 3.0474 -0.0154 0.0000
Fe 3.1076 -0.0259 5.8518
O 1.5678 4.2784 4.4840
O 1.5678 -0.0145 4.4840
F 0.0863 2.0889 5.9851
F -1.5327 -0.1933 7.5048
F 3.0474 1.9924 0.0000
F 1.4751 0.1701 1.4700
F 3.0493 2.0889 2.9829
F -0.0278 -2.1134 5.9476
F 1.6605 0.1701 7.4980
F 3.0474 -2.0241 0.0000
F 4.6682 -0.1933 1.4632
F 3.1634 -2.1134 3.0204
```

---

No. 8
Entry from the Materials Project: a relaxed MgZn2Co2O6 crystal (GGA+U). Values from VASP.

Calculated values
Symmetry: P-1
Energy above the most stable polymorph in this dataset: 0.023 eV per atom
M_tot: 8.00 μB/cell
Energy: -5.321 eV/atom
Calculated formation energy: -157.0 kJ per mole of atoms

Structure (Quantum ESPRESSO input):
```
&SYSTEM
  ibrav = 0, nat = 11, ntyp = 4
/
ATOMIC_SPECIES
Mg 24.30 Mg.upf
Zn 65.41 Zn.upf
Co 58.93 Co.upf
O 16.00 O.upf
CELL_PARAMETERS angstrom
5.0529 0.0000 0.0000
2.3509 4.7354 0.0000
1.9973 1.2341 5.1097
ATOMIC_POSITIONS angstrom
Mg 0.0000 0.0000 0.0000
Zn 2.1987 1.5842 2.2068
Zn 7.2023 4.3852 2.9029
Co 4.7639 2.7771 4.3026
Co 4.6372 3.1923 0.8071
O 2.9938 2.7147 3.8477
O 3.7186 4.6278 1.4859
O 5.5954 4.5132 4.1617
O 3.8057 1.4562 0.9480
O 5.6824 1.3416 3.6238
O 6.4072 3.2547 1.2620
```

---

No. 9
Entry from the Materials Project: a relaxed KVNiOF6 crystal (GGA+U). Values from VASP.

Calculated values
Symmetry: Imma
M_tot: 10.92 μB/cell
Energy: -4.866 eV/atom
Calculated formation energy: -231.1 kJ per mole of atoms

Structure (Quantum ESPRESSO input):
```
&SYSTEM
  ibrav = 0, nat = 20, ntyp = 5
/
ATOMIC_SPECIES
K 39.10 K.upf
V 50.94 V.upf
Ni 58.69 Ni.upf
O 16.00 O.upf
F 19.00 F.upf
CELL_PARAMETERS angstrom
-3.7814 3.8028 5.3139
3.7814 -3.8028 5.3139
3.7814 3.8028 -5.3139
ATOMIC_POSITIONS angstrom
K 0.0000 0.0000 0.0000
K 0.0000 3.8028 0.0000
V 3.7814 0.0000 0.0000
V 0.0000 0.0000 5.3139
Ni -1.8907 1.9014 2.6570
Ni 1.8907 1.9014 2.6570
O 3.7814 -1.9014 3.5084
O 0.0000 5.7042 1.8055
F 2.3817 0.4532 1.2824
F 5.1811 0.4532 1.2824
F 3.7814 1.9014 -0.6085
F 0.0000 1.9014 1.9248
F 2.3817 4.2560 -1.2824
F 1.3997 0.4532 4.0316
F 2.3817 3.3496 1.2824
F 1.3997 -0.4532 6.5963
F 3.7814 1.9014 3.3892
F 0.0000 1.9014 5.9224
F -1.3997 3.3496 4.0316
F 1.3997 3.3496 4.0316
```

---

No. 10
Entry from the Materials Project: a relaxed Li4V2OF7 crystal (GGA+U). Values from VASP.

Calculated values
Energy above the most stable polymorph in this dataset: 0.000 eV per atom
Maximum piezoelectric response: 0.2 C/m²
M_tot: 0.00 μB/cell
Energy: -5.641 eV/atom
Calculated formation energy: -290.4 kJ per mole of atoms

Structure (Quantum ESPRESSO input):
```
&SYSTEM
  ibrav = 0, nat = 28, ntyp = 4
/
ATOMIC_SPECIES
Li 6.94 Li.upf
V 50.94 V.upf
O 16.00 O.upf
F 19.00 F.upf
CELL_PARAMETERS angstrom
-4.0986 -0.5380 4.3948
-4.0962 -1.7402 -4.1414
2.3463 -8.2193 0.9084
ATOMIC_POSITIONS angstrom
Li -3.4972 -2.8823 2.5013
Li -2.3227 -7.5925 -1.3123
Li -6.9235 -6.3843 0.7193
Li -3.9986 -1.1362 0.1383
Li -0.7811 -1.0439 1.1788
Li -3.7055 -6.2924 1.7594
Li -1.0781 -7.7008 4.0988
Li -2.2496 -4.1934 -0.6226
V -2.0505 -0.8940 -2.0266
V -0.2565 -6.8397 0.7753
V -4.9748 -6.1419 -1.4453
V -5.5271 -3.8683 0.4475
O -5.0361 -5.6498 0.5253
O 0.2332 -8.6197 0.8528
F 1.6221 -6.1094 0.7291
F -3.6478 -3.1391 0.4027
F -2.9410 -5.6818 -1.6463
F -4.1159 -0.9700 2.1669
F -0.8106 -4.8058 0.5757
F -6.0816 -1.8338 0.2468
F -0.2602 -6.4505 2.8267
F -5.5298 -3.4807 2.4986
F -5.5843 -4.0907 -1.6376
F -0.3140 -7.0619 -1.3091
F -7.4908 -4.2844 0.4259
F -2.2201 -7.2529 0.7530
F -2.9281 -4.8184 2.7743
F -1.7548 -9.5269 -1.0392
```

---

No. 11
Entry from the Materials Project: a relaxed LiVPO5 crystal (GGA+U). Values from VASP.

Calculated values
Symmetry: P2_1/c
Energy above the most stable polymorph in this dataset: 0.067 eV per atom
M_tot: 4.00 μB/cell
Energy: -7.101 eV/atom
Calculated formation energy: -250.8 kJ per mole of atoms

Structure (Quantum ESPRESSO input):
```
&SYSTEM
  ibrav = 0, nat = 32, ntyp = 4
/
ATOMIC_SPECIES
Li 6.94 Li.upf
V 50.94 V.upf
P 30.97 P.upf
O 16.00 O.upf
CELL_PARAMETERS angstrom
6.3339 0.0000 0.0000
0.0000 11.2032 0.0000
-1.0716 0.0000 5.9648
ATOMIC_POSITIONS angstrom
Li -0.2218 1.2665 2.3237
Li -0.7576 4.3351 5.3061
Li 6.0200 6.8681 0.6587
Li 5.4842 9.9366 3.6411
V 1.3388 7.4980 3.0758
V 1.8745 9.3068 0.0934
V 3.3878 1.8964 5.8714
V 3.9236 3.7052 2.8890
P 0.3026 1.1084 5.5148
P 0.8384 4.4931 2.5324
P 4.4240 6.7100 3.4324
P 4.9597 10.0947 0.4500
O 0.2184 1.8632 0.2628
O -0.3174 3.7384 3.2452
O -0.0638 0.5559 4.1471
O 0.4720 5.0457 1.1647
O 1.4469 8.0114 1.4081
O 0.9111 8.7934 4.3905
O 1.2619 5.6812 3.5087
O 1.7977 11.1236 0.5263
O 1.5223 2.0712 5.4294
O 2.0581 3.5304 2.4470
O 3.2043 7.6728 3.5177
O 3.7400 9.1320 0.5354
O 3.4646 0.0796 5.4384
O 4.0004 5.5220 2.4561
O 4.3512 2.4098 1.5743
O 3.8155 3.1918 4.5567
O 4.7904 6.1575 4.8000
O 5.3262 10.6472 1.8177
O 5.5797 7.4648 2.7196
O 5.0439 9.3399 5.7020
```

---

No. 12
Entry from the Materials Project: a relaxed V4OF11 crystal (GGA+U). Values from VASP.

Calculated values
Symmetry: P1
Energy above the most stable polymorph in this dataset: 0.001 eV per atom
Energy: -6.241 eV/atom
Calculated formation energy: -302.0 kJ per mole of atoms

Structure (Quantum ESPRESSO input):
```
&SYSTEM
  ibrav = 0, nat = 16, ntyp = 3
/
ATOMIC_SPECIES
V 50.94 V.upf
O 16.00 O.upf
F 19.00 F.upf
CELL_PARAMETERS angstrom
5.2992 0.0000 0.0000
-0.0085 5.4594 0.0000
-0.0168 -0.3930 7.5262
ATOMIC_POSITIONS angstrom
V 0.0000 0.0000 0.0000
V -0.0058 -0.1851 3.7507
V 2.5839 2.3488 7.3544
V 2.6351 2.5462 3.7473
O 2.2409 2.4477 5.7040
F 0.5304 -0.2806 5.6439
F 1.0162 3.6418 3.4049
F 1.0547 1.6437 0.3520
F 1.5876 4.3491 0.3786
F 1.6035 0.9206 3.3770
F 3.0689 2.6473 1.7976
F 3.6767 0.7057 7.1797
F 3.6750 4.1706 4.1151
F 4.2437 3.4082 7.2055
F 4.2621 1.4511 4.0789
F 4.7457 -0.0927 1.8732
```